[1]
Na6Hf8Si7S5O48 | PBE | optimized geometry

Summary:
energy of formation	-3.007	eV per atom
crystal system	triclinic
space-group type	P1
total moment	0.0000	μB per atom

abc: 8.984 15.642 23.262
angles: 89.93 89.91 89.98
Element x y z (fractional)
Na1 0.000 0.000 0.000
Na2 0.000 0.324 0.660
Na3 0.127 0.498 0.246
Na4 0.142 0.833 0.911
Na5 0.350 0.332 0.409
Na6 0.364 0.998 0.747
Na7 0.482 0.499 0.496
Na8 0.492 0.830 0.156
Na9 0.495 0.826 0.666
Na10 0.496 0.164 0.826
Na11 0.497 0.166 0.324
Na12 0.499 0.503 0.990
Na13 0.643 0.000 0.240
Na14 0.845 0.499 0.746
Na15 0.990 0.004 0.488
Na16 0.991 0.665 0.322
Na17 0.993 0.665 0.829
Na18 0.995 0.324 0.165
Hf1 0.000 0.665 0.973
Hf2 0.001 0.673 0.682
Hf3 0.002 0.330 0.304
Hf4 0.009 0.660 0.474
Hf5 0.013 0.328 0.511
Hf6 0.477 0.835 0.015
Hf7 0.486 0.155 0.976
Hf8 0.488 0.830 0.806
Hf9 0.490 0.165 0.472
Hf10 0.490 0.499 0.341
Hf11 0.491 0.167 0.178
Hf12 0.493 0.173 0.685
Hf13 0.495 0.832 0.513
Hf14 0.496 0.499 0.639
Hf15 0.498 0.500 0.147
Hf16 0.502 0.833 0.305
Hf17 0.513 0.502 0.849
Hf18 0.977 0.002 0.347
Hf19 0.983 0.000 0.135
Hf20 0.988 0.331 0.807
Hf21 0.992 0.001 0.647
Hf22 0.995 0.332 0.014
Hf23 0.995 0.673 0.184
Hf24 0.999 0.000 0.842
Si1 0.137 0.810 0.077
Si2 0.138 0.147 0.743
Si3 0.138 0.183 0.409
Si4 0.139 0.853 0.744
Si5 0.142 0.478 0.409
Si6 0.201 0.166 0.078
Si7 0.291 0.665 0.578
Si8 0.348 0.979 0.908
Si9 0.351 0.646 0.243
Si10 0.352 0.311 0.577
Si11 0.354 0.350 0.243
Si12 0.354 0.685 0.911
Si13 0.636 0.356 0.744
Si14 0.637 0.017 0.078
Si15 0.639 0.644 0.742
Si16 0.639 0.977 0.411
Si17 0.702 0.998 0.744
Si18 0.787 0.498 0.244
Si19 0.848 0.145 0.242
Si20 0.853 0.477 0.911
Si21 0.856 0.856 0.244
S1 0.141 0.519 0.077
S2 0.205 0.832 0.411
S3 0.206 0.498 0.744
S4 0.282 0.998 0.244
S5 0.285 0.332 0.910
S6 0.348 0.019 0.577
S7 0.639 0.311 0.075
S8 0.640 0.687 0.411
S9 0.704 0.664 0.077
S10 0.706 0.333 0.412
S11 0.783 0.832 0.911
S12 0.785 0.165 0.576
S13 0.849 0.187 0.911
S14 0.850 0.520 0.577
S15 0.850 0.811 0.576
O1 0.064 0.102 0.686
O2 0.064 0.573 0.418
O3 0.064 0.758 0.737
O4 0.065 0.229 0.467
O5 0.066 0.765 0.019
O6 0.066 0.895 0.802
O7 0.067 0.904 0.084
O8 0.069 0.242 0.752
O9 0.069 0.436 0.352
O10 0.073 0.433 0.068
O11 0.074 0.087 0.404
O12 0.075 0.556 0.129
O13 0.096 0.252 0.067
O14 0.101 0.081 0.083
O15 0.102 0.573 0.735
O16 0.104 0.747 0.131
O17 0.106 0.421 0.750
O18 0.106 0.755 0.419
O19 0.109 0.417 0.465
O20 0.110 0.573 0.025
O21 0.110 0.914 0.688
O22 0.113 0.908 0.406
O23 0.114 0.084 0.799
O24 0.115 0.248 0.356
O25 0.164 0.984 0.904
O26 0.168 0.320 0.571
O27 0.168 0.681 0.918
O28 0.170 0.648 0.236
O29 0.172 0.348 0.249
O30 0.178 0.679 0.632
O31 0.180 0.654 0.521
O32 0.184 0.010 0.581
O33 0.188 0.342 0.962
O34 0.190 0.318 0.859
O35 0.193 0.011 0.297
O36 0.195 0.984 0.192
O37 0.294 0.513 0.795
O38 0.296 0.484 0.691
O39 0.297 0.815 0.360
O40 0.301 0.841 0.463
O41 0.305 0.510 0.081
O42 0.307 0.155 0.021
O43 0.308 0.184 0.133
O44 0.319 0.148 0.736
O45 0.319 0.816 0.072
O46 0.319 0.847 0.749
O47 0.321 0.180 0.419
O48 0.325 0.484 0.406
O49 0.374 0.410 0.904
O50 0.374 0.584 0.299
O51 0.375 0.747 0.855
O52 0.377 0.917 0.964
O53 0.379 0.415 0.188
O54 0.380 0.073 0.525
O55 0.382 0.256 0.917
O56 0.383 0.248 0.631
O57 0.384 0.074 0.239
O58 0.384 0.921 0.252
O59 0.392 0.752 0.568
O60 0.393 0.581 0.583
O61 0.415 0.056 0.629
O62 0.415 0.588 0.902
O63 0.416 0.932 0.568
O64 0.419 0.935 0.851
O65 0.420 0.741 0.253
O66 0.422 0.266 0.519
O67 0.422 0.395 0.302
O68 0.424 0.075 0.915
O69 0.425 0.405 0.584
O70 0.425 0.601 0.187
O71 0.427 0.256 0.237
O72 0.428 0.730 0.967
O73 0.561 0.398 0.800
O74 0.564 0.932 0.354
O75 0.565 0.598 0.686
O76 0.566 0.063 0.135
O77 0.568 0.072 0.420
O78 0.568 0.922 0.069
O79 0.572 0.259 0.737
O80 0.572 0.398 0.082
O81 0.572 0.728 0.463
O82 0.572 0.739 0.751
O83 0.573 0.602 0.406
O84 0.575 0.271 0.024
O85 0.594 0.080 0.733
O86 0.595 0.915 0.750
O87 0.602 0.915 0.466
O88 0.606 0.408 0.406
O89 0.607 0.080 0.022
O90 0.607 0.255 0.418
O91 0.608 0.586 0.082
O92 0.612 0.740 0.359
O93 0.612 0.741 0.070
O94 0.615 0.259 0.128
O95 0.616 0.416 0.688
O96 0.618 0.582 0.798
O97 0.666 0.148 0.236
O98 0.671 0.483 0.906
O99 0.671 0.848 0.253
O100 0.682 0.483 0.188
O101 0.682 0.515 0.301
O102 0.685 0.819 0.570
O103 0.686 0.182 0.917
O104 0.686 0.513 0.581
O105 0.692 0.151 0.525
O106 0.693 0.175 0.628
O107 0.693 0.844 0.963
O108 0.694 0.818 0.859
O109 0.796 0.319 0.360
O110 0.798 0.344 0.464
O111 0.798 0.674 0.128
O112 0.799 0.650 0.025
O113 0.804 0.320 0.069
O114 0.804 0.680 0.419
O115 0.808 0.015 0.800
O116 0.808 0.983 0.687
O117 0.818 0.011 0.081
O118 0.820 0.983 0.406
O119 0.821 0.349 0.752
O120 0.823 0.646 0.733
O121 0.872 0.083 0.299
O122 0.874 0.916 0.189
O123 0.875 0.758 0.628
O124 0.878 0.243 0.570
O125 0.880 0.575 0.525
O126 0.881 0.240 0.859
O127 0.883 0.088 0.582
O128 0.883 0.755 0.917
O129 0.884 0.908 0.905
O130 0.888 0.415 0.966
O131 0.894 0.415 0.251
O132 0.896 0.580 0.234
O133 0.913 0.768 0.524
O134 0.915 0.434 0.569
O135 0.915 0.559 0.629
O136 0.916 0.102 0.905
O137 0.917 0.228 0.962
O138 0.918 0.896 0.582
O139 0.919 0.239 0.252
O140 0.919 0.758 0.238
O141 0.922 0.572 0.919
O142 0.924 0.433 0.853
O143 0.926 0.099 0.187
O144 0.928 0.897 0.302

[2]
Na6Hf4Si7Sn4S5O48 | PBE | optimized geometry

Summary:
energy of formation	-2.666	eV per atom
crystal system	triclinic
space-group type	P1
total moment	0.0000	μB per atom

abc: 8.926 15.548 23.099
angles: 90.35 90.13 90.01
Element x y z (fractional)
Na1 0.000 0.000 0.000
Na2 0.000 0.678 0.338
Na3 0.128 0.502 0.755
Na4 0.140 0.168 0.090
Na5 0.351 0.669 0.594
Na6 0.362 0.002 0.252
Na7 0.480 0.501 0.504
Na8 0.491 0.170 0.844
Na9 0.493 0.176 0.332
Na10 0.494 0.834 0.677
Na11 0.496 0.836 0.176
Na12 0.499 0.495 0.011
Na13 0.642 0.000 0.762
Na14 0.845 0.501 0.254
Na15 0.989 0.995 0.513
Na16 0.991 0.334 0.681
Na17 0.996 0.679 0.834
Na18 0.997 0.332 0.172
Hf1 0.008 0.341 0.528
Hf2 0.014 0.671 0.489
Hf3 0.474 0.164 0.986
Hf4 0.486 0.845 0.025
Hf5 0.494 0.169 0.486
Hf6 0.494 0.502 0.361
Hf7 0.498 0.500 0.854
Hf8 0.515 0.497 0.152
Hf9 0.975 0.997 0.655
Hf10 0.984 0.000 0.865
Hf11 0.992 0.999 0.353
Hf12 0.996 0.670 0.986
Si1 0.134 0.193 0.923
Si2 0.138 0.852 0.256
Si3 0.139 0.149 0.256
Si4 0.139 0.817 0.592
Si5 0.145 0.523 0.594
Si6 0.203 0.834 0.922
Si7 0.288 0.335 0.422
Si8 0.344 0.021 0.094
Si9 0.349 0.352 0.756
Si10 0.352 0.315 0.090
Si11 0.353 0.652 0.757
Si12 0.355 0.692 0.424
Si13 0.636 0.023 0.589
Si14 0.636 0.982 0.922
Si15 0.639 0.646 0.256
Si16 0.641 0.354 0.259
Si17 0.702 0.002 0.255
Si18 0.787 0.502 0.755
Si19 0.846 0.853 0.759
Si20 0.852 0.146 0.756
Si21 0.855 0.523 0.089
Sn1 0.000 0.336 0.027
Sn2 0.003 0.670 0.696
Sn3 0.488 0.170 0.195
Sn4 0.488 0.502 0.662
Sn5 0.489 0.836 0.528
Sn6 0.492 0.834 0.822
Sn7 0.494 0.828 0.316
Sn8 0.502 0.167 0.694
Sn9 0.987 0.669 0.192
Sn10 0.993 0.328 0.816
Sn11 0.998 0.001 0.159
Sn12 0.999 0.327 0.320
S1 0.142 0.482 0.923
S2 0.204 0.502 0.257
S3 0.205 0.169 0.590
S4 0.282 0.002 0.756
S5 0.284 0.668 0.091
S6 0.347 0.982 0.423
S7 0.639 0.687 0.925
S8 0.640 0.315 0.589
S9 0.705 0.337 0.925
S10 0.705 0.667 0.589
S11 0.784 0.167 0.090
S12 0.784 0.836 0.425
S13 0.848 0.815 0.090
S14 0.849 0.189 0.425
S15 0.851 0.480 0.424
O1 0.059 0.232 0.984
O2 0.062 0.244 0.260
O3 0.062 0.896 0.313
O4 0.065 0.098 0.916
O5 0.065 0.772 0.534
O6 0.066 0.111 0.196
O7 0.067 0.427 0.584
O8 0.068 0.755 0.249
O9 0.069 0.562 0.651
O10 0.074 0.446 0.870
O11 0.074 0.569 0.932
O12 0.074 0.914 0.597
O13 0.096 0.748 0.932
O14 0.101 0.427 0.263
O15 0.103 0.920 0.918
O16 0.104 0.245 0.582
O17 0.106 0.086 0.312
O18 0.106 0.580 0.253
O19 0.111 0.258 0.869
O20 0.113 0.583 0.537
O21 0.114 0.091 0.594
O22 0.114 0.429 0.976
O23 0.119 0.751 0.645
O24 0.122 0.913 0.199
O25 0.157 0.017 0.096
O26 0.166 0.318 0.086
O27 0.168 0.352 0.763
O28 0.170 0.651 0.755
O29 0.170 0.681 0.429
O30 0.178 0.346 0.479
O31 0.180 0.318 0.366
O32 0.182 0.992 0.419
O33 0.186 0.659 0.039
O34 0.190 0.992 0.703
O35 0.191 0.685 0.144
O36 0.194 0.014 0.808
O37 0.295 0.187 0.642
O38 0.295 0.489 0.205
O39 0.296 0.514 0.310
O40 0.302 0.160 0.538
O41 0.305 0.811 0.865
O42 0.307 0.492 0.919
O43 0.307 0.844 0.980
O44 0.317 0.187 0.929
O45 0.320 0.852 0.263
O46 0.321 0.152 0.255
O47 0.324 0.817 0.586
O48 0.331 0.517 0.596
O49 0.364 0.412 0.698
O50 0.369 0.252 0.147
O51 0.371 0.083 0.038
O52 0.372 0.589 0.096
O53 0.374 0.929 0.476
O54 0.378 0.756 0.369
O55 0.383 0.080 0.751
O56 0.383 0.586 0.811
O57 0.384 0.744 0.084
O58 0.384 0.926 0.759
O59 0.390 0.249 0.431
O60 0.391 0.420 0.418
O61 0.415 0.069 0.432
O62 0.415 0.413 0.098
O63 0.415 0.946 0.371
O64 0.418 0.061 0.153
O65 0.420 0.925 0.087
O66 0.421 0.256 0.748
O67 0.423 0.614 0.696
O68 0.427 0.397 0.813
O69 0.427 0.597 0.417
O70 0.427 0.732 0.484
O71 0.428 0.271 0.034
O72 0.428 0.746 0.762
O73 0.557 0.064 0.648
O74 0.563 0.601 0.200
O75 0.563 0.941 0.863
O76 0.566 0.078 0.931
O77 0.566 0.926 0.581
O78 0.567 0.401 0.315
O79 0.571 0.272 0.537
O80 0.571 0.401 0.593
O81 0.571 0.600 0.920
O82 0.573 0.743 0.260
O83 0.574 0.259 0.251
O84 0.576 0.729 0.978
O85 0.590 0.920 0.267
O86 0.594 0.086 0.251
O87 0.598 0.085 0.534
O88 0.604 0.920 0.978
O89 0.605 0.745 0.584
O90 0.606 0.590 0.593
O91 0.607 0.415 0.919
O92 0.613 0.259 0.931
O93 0.615 0.585 0.313
O94 0.616 0.263 0.642
O95 0.620 0.738 0.872
O96 0.623 0.417 0.203
O97 0.661 0.852 0.764
O98 0.666 0.148 0.751
O99 0.673 0.517 0.094
O100 0.682 0.517 0.812
O101 0.683 0.179 0.432
O102 0.684 0.819 0.083
O103 0.685 0.486 0.420
O104 0.688 0.481 0.697
O105 0.691 0.157 0.038
O106 0.692 0.851 0.477
O107 0.693 0.824 0.372
O108 0.696 0.181 0.144
O109 0.794 0.680 0.642
O110 0.796 0.326 0.872
O111 0.798 0.353 0.977
O112 0.798 0.656 0.536
O113 0.802 0.981 0.198
O114 0.804 0.321 0.580
O115 0.805 0.678 0.932
O116 0.807 0.017 0.313
O117 0.817 0.988 0.920
O118 0.818 0.017 0.594
O119 0.825 0.648 0.252
O120 0.828 0.356 0.268
O121 0.867 0.915 0.701
O122 0.868 0.240 0.372
O123 0.875 0.764 0.143
O124 0.876 0.085 0.812
O125 0.876 0.756 0.431
O126 0.882 0.424 0.475
O127 0.883 0.913 0.420
O128 0.884 0.090 0.094
O129 0.885 0.245 0.086
O130 0.892 0.585 0.035
O131 0.895 0.585 0.750
O132 0.899 0.420 0.766
O133 0.912 0.233 0.477
O134 0.916 0.244 0.758
O135 0.916 0.442 0.370
O136 0.916 0.567 0.432
O137 0.917 0.758 0.751
O138 0.917 0.772 0.039
O139 0.917 0.901 0.094
O140 0.919 0.103 0.420
O141 0.923 0.425 0.082
O142 0.923 0.900 0.814
O143 0.925 0.103 0.698
O144 0.930 0.562 0.149